(1)
The following is a DFT calculation (PBE+U) of a relaxed Li3Mn4P6O24 crystal.

Output
density: 3.174 Mg/m³
offset from the most stable computed form: 0 meV/atom
calculated formation energy: -2.419 eV/atom
total magnetic moment: 13.00 μB/f.u.

Unit cell a=8.258 b=8.526 c=12.044 alpha=90.24 beta=90.56 gamma=90.04
Atoms (fractional coordinates):
1 O 0.567 0.930 0.679
2 O 0.838 0.719 0.816
3 O 0.056 0.874 0.434
4 O 0.731 0.446 0.554
5 O 0.625 0.094 0.488
6 O 0.127 0.408 0.987
7 O 0.807 0.831 0.552
8 O 0.341 0.784 0.315
9 O 0.561 0.824 0.100
10 O 0.176 0.279 0.185
11 O 0.062 0.681 0.599
12 O 0.776 0.962 0.934
13 O 0.904 0.635 0.414
14 O 0.771 0.518 0.222
15 O 0.564 0.613 0.394
16 O 0.063 0.569 0.183
17 O 0.880 0.995 0.744
18 O 0.938 0.112 0.109
19 O 0.384 0.513 0.241
20 O 0.618 0.300 0.341
21 O 0.939 0.329 0.400
22 O 0.678 0.226 0.687
23 O 0.598 0.144 0.086
24 O 0.734 0.028 0.295
25 O 0.876 0.794 0.167
26 O 0.400 0.860 0.914
27 O 0.931 0.415 0.826
28 O 0.683 0.327 0.937
29 O 0.186 0.171 0.441
30 O 0.443 0.380 0.057
31 O 0.438 0.389 0.608
32 O 0.069 0.884 0.888
33 O 0.132 0.005 0.248
34 O 0.436 0.075 0.323
35 O 0.275 0.982 0.723
36 O 0.231 0.055 0.052
37 O 0.116 0.199 0.840
38 O 0.355 0.918 0.523
39 O 0.556 0.626 0.937
40 O 0.433 0.172 0.899
41 O 0.264 0.548 0.430
42 O 0.859 0.582 0.023
43 O 0.629 0.499 0.749
44 O 0.307 0.668 0.052
45 O 0.377 0.707 0.666
46 O 0.098 0.358 0.587
47 O 0.941 0.122 0.558
48 O 0.231 0.474 0.794
49 P 0.390 0.886 0.646
50 P 0.962 0.754 0.506
51 P 0.533 0.249 0.993
52 P 0.460 0.749 0.007
53 P 0.615 0.388 0.646
54 P 0.038 0.247 0.494
55 P 0.887 0.615 0.147
56 P 0.117 0.115 0.145
57 P 0.889 0.887 0.851
58 P 0.111 0.382 0.862
59 P 0.610 0.117 0.362
60 P 0.387 0.615 0.349
61 Mn 0.744 0.029 0.612
62 Mn 0.245 0.533 0.607
63 Mn 0.755 0.536 0.886
64 Mn 0.257 0.970 0.385
65 Mn 0.252 0.027 0.894
66 Mn 0.745 0.471 0.397
67 Mn 0.247 0.469 0.112
68 Mn 0.745 0.969 0.107
69 Li 0.927 0.909 0.302
70 Li 0.423 0.600 0.804
71 Li 0.805 0.201 0.829
72 Li 0.083 0.098 0.692
73 Li 0.577 0.392 0.195
74 Li 0.077 0.494 0.337

=====

(2)
The following is a DFT calculation (PBE+U) of a relaxed Fe3TeC9SO9 crystal.

Output
density: 1.781 Mg/m³
calculated formation energy: -0.502 eV/atom
total magnetic moment: 10.00 μB/f.u.

Unit cell a=8.107 b=9.910 c=14.847 alpha=84.45 beta=83.61 gamma=65.87
Atoms (fractional coordinates):
1 O 0.833 0.176 0.404
2 O 0.316 0.032 0.413
3 O 0.242 0.027 0.877
4 O 0.167 0.824 0.596
5 O 0.050 0.191 0.631
6 O 0.684 0.968 0.587
7 O 0.864 0.962 0.814
8 O 0.758 0.973 0.123
9 O 0.245 0.497 0.511
10 O 0.950 0.809 0.369
11 O 0.476 0.248 0.707
12 O 0.136 0.038 0.186
13 O 0.755 0.503 0.489
14 O 0.839 0.265 0.962
15 O 0.524 0.752 0.293
16 O 0.720 0.651 0.050
17 O 0.280 0.349 0.950
18 O 0.161 0.735 0.038
19 C 0.650 0.868 0.616
20 C 0.304 0.430 0.447
21 C 0.064 0.734 0.320
22 C 0.299 0.307 0.025
23 C 0.212 0.115 0.180
24 C 0.350 0.132 0.384
25 C 0.391 0.944 0.872
26 C 0.696 0.570 0.553
27 C 0.801 0.306 0.889
28 C 0.552 0.316 0.726
29 C 0.701 0.693 0.975
30 C 0.683 0.207 0.394
31 C 0.609 0.056 0.128
32 C 0.448 0.684 0.274
33 C 0.199 0.694 0.111
34 C 0.317 0.793 0.606
35 C 0.788 0.885 0.820
36 C 0.936 0.266 0.680
37 Fe 0.585 0.702 0.655
38 Fe 0.727 0.424 0.767
39 Fe 0.353 0.246 0.149
40 Fe 0.415 0.298 0.345
41 Fe 0.273 0.576 0.233
42 Fe 0.647 0.754 0.851
43 Te 0.021 0.468 0.250
44 Te 0.979 0.532 0.750
45 S 0.537 0.351 0.206
46 S 0.463 0.649 0.794